1.
Material: Si2H6Se
Method: DFT, r2SCAN
State: optimized geometry

Calculated values
Total magnetization, μB per cell: 0.0
Formation energy, eV/atom: -0.1014
Crystal system: tetragonal

Lattice parameters (Å, degrees): 8.4149 8.4149 15.7784 90.00 90.00 90.00
Space group P4_32_12 (No. 96)
Unique sites:
Si: 0.1086 0.2666 0.1514 x8
Si: 0.1579 0.2728 0.6611 x8
H: 0.0243 0.3776 0.6858 x8
H: 0.0487 0.7330 0.6931 x8
H: 0.1028 0.1512 0.8739 x8
H: 0.1038 0.1054 0.6602 x8
H: 0.1130 0.3759 0.0783 x8
H: 0.1800 0.7237 0.3281 x8
Se: 0.1379 0.7963 0.9937 x8

***

2.
Material: NdSnPt
Method: DFT, r2SCAN
State: optimized geometry

Calculated values
Total magnetization, μB per cell: 0.0
Formation energy, eV/atom: -1.1483
Crystal system: orthorhombic

Lattice parameters (Å, degrees): 7.4635 4.6292 8.0602 90.00 90.00 90.00
Space group Pnma (No. 62)
Unique sites:
Nd: 0.0123 0.2500 0.1954 x4
Sn: 0.1766 0.2500 0.5837 x4
Pt: 0.2100 0.7500 0.4092 x4

***

3.
Material: SmBe13
Method: DFT, r2SCAN
State: optimized geometry

Calculated values
Total magnetization, μB per cell: 0.0
Formation energy, eV/atom: -0.1896
Crystal system: cubic

Lattice parameters (Å, degrees): 10.2783 10.2783 10.2783 90.00 90.00 90.00
Space group Fm-3c (No. 226)
Unique sites:
Sm: 0.2500 0.2500 0.2500 x8
Be: 0.0000 0.0000 0.0000 x8
Be: 0.0000 0.1131 0.1757 x96

***

4.
Material: SrCN2
Method: DFT, r2SCAN
State: optimized geometry

Calculated values
Total magnetization, μB per cell: 0.0
Formation energy, eV/atom: -0.9920
Crystal system: orthorhombic

Lattice parameters (Å, degrees): 12.4627 3.9714 5.4101 90.00 90.00 90.00
Space group Pnma (No. 62)
Unique sites:
Sr: 0.1309 0.2500 0.1140 x4
C: 0.1230 0.7500 0.6154 x4
N: 0.0767 0.7500 0.8164 x4
N: 0.1726 0.7500 0.4178 x4

***

5.
Material: TmCo2Si2
Method: DFT, r2SCAN
State: optimized geometry

Calculated values
Total magnetization, μB per cell: 0.0
Formation energy, eV/atom: -0.7841
Crystal system: tetragonal

Lattice parameters (Å, degrees): 3.8234 3.8234 9.6187 90.00 90.00 90.00
Space group I4/mmm (No. 139)
Unique sites:
Tm: 0.0000 0.0000 0.0000 x2
Co: 0.0000 0.5000 0.2500 x4
Si: 0.0000 0.0000 0.3724 x4

***

6.
Material: Tb2Re3Si5
Method: DFT, r2SCAN
State: optimized geometry

Calculated values
Total magnetization, μB per cell: 0.0
Formation energy, eV/atom: -0.6467
Crystal system: tetragonal

Lattice parameters (Å, degrees): 10.9554 10.9554 5.5301 90.00 90.00 90.00
Space group P4/mnc (No. 128)
Unique sites:
Tb: 0.0781 0.2375 0.0000 x8
Re: 0.0000 0.5000 0.2500 x4
Re: 0.1246 0.8522 0.5000 x8
Si: 0.0000 0.0000 0.2494 x4
Si: 0.0262 0.3144 0.5000 x8
Si: 0.1719 0.6719 0.2500 x8

***

7.
Material: RbInBP2HO9
Method: DFT, r2SCAN
State: optimized geometry

Calculated values
Total magnetization, μB per cell: 0.0
Formation energy, eV/atom: -2.3206
Crystal system: triclinic

Lattice parameters (Å, degrees): 5.3431 8.4188 8.4231 87.89 80.03 86.98
Space group P-1 (No. 2)
Unique sites:
Rb: 0.2234 0.3281 0.1183 x2
In: 0.2180 0.8110 0.2064 x2
B: 0.3925 0.7274 0.5638 x2
P: 0.2846 0.9361 0.8086 x2
P: 0.3086 0.4192 0.6954 x2
H: 0.1040 0.8822 0.5300 x2
O: 0.0410 0.9865 0.7409 x2
O: 0.0634 0.3612 0.7916 x2
O: 0.2189 0.8220 0.9534 x2
O: 0.2198 0.8078 0.4642 x2
O: 0.2525 0.5978 0.6583 x2
O: 0.3727 0.3318 0.5337 x2
O: 0.4274 0.0756 0.8470 x2
O: 0.4635 0.8409 0.6738 x2
O: 0.4704 0.5992 0.2120 x2

***

8.
Material: Ho2Ge2Rh
Method: DFT, r2SCAN
State: optimized geometry

Calculated values
Total magnetization, μB per cell: 0.0
Formation energy, eV/atom: -1.0357
Crystal system: monoclinic

Lattice parameters (Å, degrees): 10.4054 4.2689 10.2234 90.00 117.03 90.00
Space group C2/m (No. 12)
Unique sites:
Ho: 0.0105 0.0000 0.3318 x4
Ho: 0.1884 0.0000 0.1170 x4
Ge: 0.0208 0.5000 0.8842 x4
Ge: 0.1442 0.5000 0.5585 x4
Rh: 0.2281 0.5000 0.3413 x4